1.
First-principles (r2SCAN) data for a relaxed Na2SO4 crystal, as listed in the Materials Project.

Summary:
energy above the lowest structure with this stoichiometry	6	meV/atom
crystal system	orthorhombic
total DFT energy (no corrections)	-52.97	eV/f.u.
energy of formation from the pure elements	-13.916	eV per formula unit

a = 9.4382 Å, b = 6.9327 Å, c = 5.1959 Å
α = 90.00°, β = 90.00°, γ = 90.00°
Space group Pnma (No. 62)
Unique sites:
Na  0.0000  0.0000  0.0000
Na  0.1434  0.2500  0.4803
S  0.1790  0.7500  0.4875
O  0.1229  0.5768  0.3596
O  0.1350  0.7500  0.7614
O  0.1641  0.2500  0.9673


2.
First-principles (r2SCAN) data for a relaxed YbErZn2 crystal, as listed in the Materials Project.

Summary:
crystal system	cubic
total DFT energy (no corrections)	-89.89	eV/f.u.
energy of formation from the pure elements	-1.613	eV per formula unit

a = 6.9875 Å, b = 6.9875 Å, c = 6.9875 Å
α = 90.00°, β = 90.00°, γ = 90.00°
Space group Fm-3m (No. 225)
Unique sites:
Yb  0.0000  0.0000  0.0000
Er  0.0000  0.0000  0.5000
Zn  0.2500  0.2500  0.2500


3.
First-principles (r2SCAN) data for a relaxed Tm2MgNi2 crystal, as listed in the Materials Project.

Summary:
crystal system	tetragonal
total DFT energy (no corrections)	-100.23	eV/f.u.
energy of formation from the pure elements	-1.855	eV per formula unit

a = 7.2286 Å, b = 7.2286 Å, c = 3.6526 Å
α = 90.00°, β = 90.00°, γ = 90.00°
Space group P4/mbm (No. 127)
Unique sites:
Tm  0.1702  0.3298  0.0000
Mg  0.0000  0.0000  0.5000
Ni  0.1216  0.6216  0.5000


4.
First-principles (r2SCAN) data for a relaxed SO4 crystal, as listed in the Materials Project.

Summary:
crystal system	monoclinic
total DFT energy (no corrections)	-34.97	eV/f.u.
energy of formation from the pure elements	-3.045	eV per formula unit

a = 8.4772 Å, b = 4.5864 Å, c = 8.5694 Å
α = 90.00°, β = 113.62°, γ = 90.00°
Space group C2/c (No. 15)
Unique sites:
S  0.0000  0.0800  0.2500
O  0.0394  0.2551  0.4044
O  0.1575  0.0948  0.8010


5.
First-principles (r2SCAN) data for a relaxed BaH2 crystal, as listed in the Materials Project.

Summary:
crystal system	hexagonal
total DFT energy (no corrections)	-35.12	eV/f.u.
energy of formation from the pure elements	-1.706	eV per formula unit

a = 4.4620 Å, b = 4.4620 Å, c = 6.0553 Å
α = 90.00°, β = 90.00°, γ = 120.00°
Space group P6_3/mmc (No. 194)
Unique sites:
Ba  0.3333  0.6667  0.2500
H  0.0000  0.0000  0.0000
H  0.3333  0.6667  0.7500


6.
First-principles (r2SCAN) data for a relaxed DyTc2 crystal, as listed in the Materials Project.

Summary:
crystal system	hexagonal
total DFT energy (no corrections)	-84.52	eV/f.u.
energy of formation from the pure elements	-0.613	eV per formula unit

a = 5.3424 Å, b = 5.3424 Å, c = 8.8446 Å
α = 90.00°, β = 90.00°, γ = 120.00°
Space group P6_3/mmc (No. 194)
Unique sites:
Dy  0.3333  0.6667  0.0627
Tc  0.0000  0.0000  0.0000
Tc  0.1714  0.3429  0.7500


7.
First-principles (r2SCAN) data for a relaxed CaYP7O20 crystal, as listed in the Materials Project.

Summary:
crystal system	monoclinic
total DFT energy (no corrections)	-285.91	eV/f.u.
energy of formation from the pure elements	-76.096	eV per formula unit

a = 24.8368 Å, b = 6.8872 Å, c = 10.7060 Å
α = 90.00°, β = 107.42°, γ = 90.00°
Space group C2/c (No. 15)
Unique sites:
Ca  0.0000  0.0000  0.0000
Y  0.2500  0.2500  0.0000
P  0.0000  0.3576  0.7500
P  0.0871  0.3664  0.2430
P  0.1403  0.1202  0.4630
P  0.1780  0.4284  0.6707
O  0.0116  0.2589  0.6395
O  0.0519  0.4920  0.3123
O  0.0552  0.2151  0.1576
O  0.0824  0.0604  0.4516
O  0.1155  0.4839  0.6722
O  0.1382  0.2946  0.3596
O  0.1680  0.2260  0.5996
O  0.1826  0.0217  0.9469
O  0.1961  0.4260  0.0898
O  0.2138  0.3954  0.8067


8.
First-principles (r2SCAN) data for a relaxed SiO2 crystal, as listed in the Materials Project.

Summary:
crystal system	monoclinic
total DFT energy (no corrections)	-29.81	eV/f.u.
energy of formation from the pure elements	-9.093	eV per formula unit

a = 18.5535 Å, b = 5.0072 Å, c = 23.8314 Å
α = 90.00°, β = 105.92°, γ = 90.00°
Space group Cc (No. 9)
Unique sites:
Si  0.0000  0.0391  0.0000
Si  0.0484  0.0584  0.1365
Si  0.0856  0.4377  0.8633
Si  0.1281  0.0628  0.4413
Si  0.1478  0.4412  0.6644
Si  0.2043  0.4581  0.2987
Si  0.2760  0.4511  0.1052
Si  0.2837  0.0487  0.5315
Si  0.2995  0.0433  0.8381
Si  0.4042  0.0398  0.9655
Si  0.4262  0.4451  0.2055
Si  0.4304  0.0561  0.7803
O  0.0093  0.0014  0.0686
O  0.0755  0.3652  0.1461
O  0.0789  0.0248  0.4869
O  0.0995  0.1344  0.8862
O  0.1201  0.1346  0.6600
O  0.1209  0.3659  0.4175
O  0.1244  0.4837  0.8110
O  0.1967  0.4980  0.2303
O  0.1983  0.4892  0.6203
O  0.2146  0.0008  0.4742
O  0.2288  0.1554  0.3177
O  0.2681  0.3446  0.8366
O  0.2770  0.1460  0.0837
O  0.2836  0.3539  0.5532
O  0.3440  0.4995  0.1628
O  0.3474  0.0298  0.4033
O  0.3511  0.0133  0.7941
O  0.3610  0.0106  0.0155
O  0.4344  0.1388  0.2273
O  0.4351  0.3400  0.9643
O  0.4387  0.3617  0.7616
O  0.4754  0.1594  0.4798
O  0.4883  0.4959  0.6721
O  0.4968  0.0092  0.3384